Record 1
## Li2TiVO5 (PBE+U)

Data for a relaxed structure of Li2TiVO5. Values from VASP.

Structure (Quantum ESPRESSO input):
```
&SYSTEM
  ibrav = 0, nat = 36, ntyp = 4
/
ATOMIC_SPECIES
O 16.00 O.upf
Li 6.94 Li.upf
V 50.94 V.upf
Ti 47.87 Ti.upf
CELL_PARAMETERS angstrom
6.714 0.000 4.609
0.000 6.714 4.609
-6.714 0.000 4.609
ATOMIC_POSITIONS crystal
O 0.228 0.531 0.978
O 0.272 0.469 0.522
O 0.121 0.250 0.871
O 0.509 0.250 0.978
Li 0.250 0.000 0.750
Li 0.000 0.000 0.000
V 0.196 0.750 0.446
O 0.009 0.969 0.759
O 0.491 0.750 0.022
O 0.772 0.750 0.741
Li 0.500 0.000 0.500
Ti 0.000 0.250 0.250
O 0.228 0.250 0.259
O 0.728 0.250 0.759
O 0.509 0.969 0.259
O 0.879 0.750 0.129
O 0.728 0.531 0.478
O 0.621 0.250 0.371
V 0.804 0.250 0.554
Ti 0.500 0.250 0.750
Li 0.750 0.500 0.750
Ti 0.000 0.750 0.750
O 0.009 0.250 0.478
Li 0.500 0.500 0.000
O 0.379 0.750 0.629
Li 0.750 0.000 0.250
O 0.772 0.469 0.022
V 0.696 0.750 0.946
O 0.491 0.031 0.741
Li 0.250 0.500 0.250
Li 0.000 0.500 0.500
O 0.991 0.750 0.522
Ti 0.500 0.750 0.250
V 0.304 0.250 0.054
O 0.991 0.031 0.241
O 0.272 0.750 0.241
```

Record 2
## Li4TiV5O12 (PBE+U)

Data for a relaxed structure of Li4TiV5O12. Values from VASP.

Structure (Quantum ESPRESSO input):
```
&SYSTEM
  ibrav = 0, nat = 22, ntyp = 4
/
ATOMIC_SPECIES
Li 6.94 Li.upf
Ti 47.87 Ti.upf
V 50.94 V.upf
O 16.00 O.upf
CELL_PARAMETERS angstrom
2.605 -4.442 0.000
2.605 4.442 0.000
-0.211 0.000 10.246
ATOMIC_POSITIONS crystal
Li 0.140 0.646 0.750
Li 0.354 0.860 0.250
Li 0.646 0.140 0.750
Li 0.860 0.354 0.250
Ti 0.000 0.000 0.500
V 0.157 0.843 0.000
V 0.338 0.662 0.500
V 0.500 0.500 0.000
V 0.662 0.338 0.500
V 0.843 0.157 0.000
O 0.011 0.674 0.393
O 0.162 0.509 0.106
O 0.168 0.168 0.896
O 0.319 0.319 0.399
O 0.326 0.989 0.607
O 0.491 0.838 0.894
O 0.509 0.162 0.106
O 0.674 0.011 0.393
O 0.681 0.681 0.601
O 0.832 0.832 0.104
O 0.838 0.491 0.894
O 0.989 0.326 0.607
```

| no. | calculated volume (Å³/cell) | formation energy (eV per atom) |
| --- | --- | --- |
| 1 | 415.6 | -2.81 |
| 2 | 237.1 | -2.54 |